Record 1
Here is a geometry-optimized NdEu2NbO6 structure from the Materials Project. Energies are from PBE-GGA.

a b c (Å): 8.498 8.498 8.498
angles (deg): 90.00 90.00 90.00
Sites, in units of the cell vectors:
Nd 0.000 0.000 0.000
Nd 0.000 0.500 0.500
Nd 0.500 0.000 0.500
Nd 0.500 0.500 0.000
Eu 0.250 0.250 0.250
Eu 0.250 0.250 0.750
Eu 0.250 0.750 0.250
Eu 0.250 0.750 0.750
Eu 0.750 0.250 0.250
Eu 0.750 0.250 0.750
Eu 0.750 0.750 0.250
Eu 0.750 0.750 0.750
Nb 0.000 0.000 0.500
Nb 0.000 0.500 0.000
Nb 0.500 0.000 0.000
Nb 0.500 0.500 0.500
O 0.040 0.549 0.768
O 0.040 0.951 0.732
O 0.049 0.232 0.540
O 0.049 0.268 0.960
O 0.232 0.540 0.049
O 0.232 0.960 0.451
O 0.268 0.540 0.451
O 0.268 0.960 0.049
O 0.451 0.232 0.960
O 0.451 0.268 0.540
O 0.460 0.549 0.732
O 0.460 0.951 0.768
O 0.540 0.049 0.232
O 0.540 0.451 0.268
O 0.549 0.732 0.460
O 0.549 0.768 0.040
O 0.732 0.040 0.951
O 0.732 0.460 0.549
O 0.768 0.040 0.549
O 0.768 0.460 0.951
O 0.951 0.732 0.040
O 0.951 0.768 0.460
O 0.960 0.049 0.268
O 0.960 0.451 0.232

## Properties
Raw total energy   -376.84 eV/cell
Formation energy from the elements   -3.326 eV/atom
Spin magnetization   14.00 μB/f.u.
Space-group type   Pn-3, No. 201



Record 2
Here is a geometry-optimized SrNdEuNbO6 structure from the Materials Project. Energies are from PBE-GGA.

a b c (Å): 8.488 8.495 8.519
angles (deg): 90.00 90.00 90.00
Sites, in units of the cell vectors:
Sr 0.250 0.250 0.250
Sr 0.250 0.750 0.250
Sr 0.750 0.250 0.750
Sr 0.750 0.750 0.750
Nd 0.000 0.000 0.000
Nd 0.000 0.500 0.500
Nd 0.500 0.000 0.500
Nd 0.500 0.500 0.000
Eu 0.250 0.250 0.750
Eu 0.250 0.750 0.750
Eu 0.750 0.250 0.250
Eu 0.750 0.750 0.250
Nb 0.000 0.000 0.500
Nb 0.000 0.500 0.000
Nb 0.500 0.000 0.000
Nb 0.500 0.500 0.500
O 0.040 0.230 0.451
O 0.040 0.270 0.049
O 0.050 0.041 0.731
O 0.050 0.459 0.769
O 0.230 0.549 0.039
O 0.230 0.951 0.461
O 0.270 0.549 0.461
O 0.270 0.951 0.039
O 0.450 0.041 0.769
O 0.450 0.459 0.731
O 0.460 0.230 0.049
O 0.460 0.270 0.451
O 0.540 0.730 0.549
O 0.540 0.770 0.951
O 0.550 0.541 0.269
O 0.550 0.959 0.231
O 0.730 0.049 0.961
O 0.730 0.451 0.539
O 0.770 0.049 0.539
O 0.770 0.451 0.961
O 0.950 0.541 0.231
O 0.950 0.959 0.269
O 0.960 0.730 0.951
O 0.960 0.770 0.549

## Properties
Raw total energy   -343.00 eV/cell
Formation energy from the elements   -3.337 eV/atom
Offset from the most stable computed form   0.0 meV per atom
Spin magnetization   6.99 μB/f.u.
Space-group type   Pnnn, No. 48



Record 3
Here is a geometry-optimized SrNdEuNbO6 structure from the Materials Project. Energies are from PBE-GGA.

a b c (Å): 6.088 6.088 6.088
angles (deg): 60.00 60.00 60.00
Sites, in units of the cell vectors:
Sr 0.000 0.000 0.000
Nd 0.250 0.250 0.250
Eu 0.500 0.500 0.500
Nb 0.750 0.750 0.750
O 0.517 0.517 0.983
O 0.517 0.983 0.517
O 0.517 0.983 0.983
O 0.983 0.517 0.517
O 0.983 0.517 0.983
O 0.983 0.983 0.517

## Properties
Raw total energy   -84.88 eV/cell
Formation energy from the elements   -3.250 eV/atom
Offset from the most stable computed form   87.3 meV per atom
Spin magnetization   7.00 μB/f.u.
Space-group type   F-43m, No. 216